La3Nd3Al22, optimized geometry, DFT meta-GGA r2SCAN; space group = Cm; volume = 20.52 Å³ per atom; total DFT energy (no corrections) = -337.195 eV per cell; density = 4.17 Mg/m³; energy of formation = -414.3 meV/atom
1.0
-7.438 3.018 -2.822
-7.366 -1.208 -4.084
-10.741 -3.720 11.852
La Nd Al
3 3 22
direct
0.657 0.657 0.658
0.158 0.158 0.158
0.842 0.842 0.842
0.342 0.342 0.342
0.000 0.000 0.001
0.500 0.500 0.499
0.351 0.351 0.985
0.851 0.851 0.482
0.149 0.149 0.516
0.649 0.649 0.016
0.484 0.484 0.851
0.984 0.984 0.351
0.016 0.016 0.649
0.516 0.516 0.149
0.857 0.857 0.642
0.357 0.357 0.144
0.643 0.643 0.857
0.143 0.143 0.357
0.250 0.250 0.750
0.751 0.751 0.250
0.204 0.204 0.930
0.705 0.705 0.430
0.296 0.296 0.569
0.796 0.796 0.071
0.430 0.430 0.703
0.930 0.930 0.205
0.070 0.070 0.796
0.570 0.570 0.296

---

SmSb12Os4, optimized geometry, DFT meta-GGA r2SCAN; space group = Im-3; volume = 24.10 Å³ per atom; total DFT energy (no corrections) = -553.835 eV per cell; density = 9.61 Mg/m³; energy of formation = -216.8 meV/atom
1.0
-4.679 -4.679 4.679
-4.679 4.679 -4.679
4.679 -4.679 -4.679
Sm Sb Os
1 12 4
direct
0.000 0.000 0.000
0.339 0.183 0.844
0.661 0.817 0.156
0.661 0.505 0.844
0.339 0.495 0.156
0.183 0.844 0.339
0.817 0.156 0.661
0.505 0.844 0.661
0.495 0.156 0.339
0.844 0.339 0.183
0.156 0.661 0.817
0.844 0.661 0.505
0.156 0.339 0.495
0.000 0.000 0.500
0.500 0.000 0.000
0.000 0.500 0.000
0.500 0.500 0.500

---

Sr2As2O7, optimized geometry, DFT meta-GGA r2SCAN; space group = P4_3; volume = 14.88 Å³ per atom; total DFT energy (no corrections) = -1012.834 eV per cell; density = 4.43 Mg/m³; energy of formation = -2280.9 meV/atom
1.0
7.133 0.000 0.000
0.000 7.133 0.000
0.000 0.000 25.736
Sr As O
16 16 56
direct
0.228 0.735 0.676
0.772 0.265 0.176
0.735 0.772 0.926
0.265 0.228 0.426
0.348 0.973 0.823
0.652 0.027 0.323
0.973 0.652 0.073
0.027 0.348 0.573
0.398 0.845 0.178
0.602 0.155 0.678
0.845 0.602 0.428
0.155 0.398 0.928
0.257 0.627 0.315
0.743 0.373 0.815
0.627 0.743 0.565
0.373 0.257 0.065
0.234 0.855 0.947
0.766 0.145 0.447
0.855 0.766 0.197
0.145 0.234 0.697
0.484 0.779 0.049
0.516 0.221 0.549
0.779 0.516 0.299
0.221 0.484 0.799
0.105 0.813 0.541
0.895 0.187 0.041
0.813 0.895 0.791
0.187 0.105 0.291
0.355 0.752 0.440
0.645 0.248 0.940
0.752 0.645 0.690
0.248 0.355 0.190
0.329 0.541 0.222
0.671 0.459 0.722
0.541 0.671 0.472
0.459 0.329 0.972
0.391 0.908 0.392
0.609 0.092 0.892
0.908 0.609 0.642
0.092 0.391 0.142
0.215 0.581 0.417
0.785 0.419 0.917
0.581 0.785 0.667
0.419 0.215 0.167
0.223 0.894 0.484
0.777 0.106 0.984
0.894 0.777 0.734
0.106 0.223 0.234
0.265 0.698 0.578
0.735 0.302 0.078
0.698 0.735 0.828
0.302 0.265 0.328
0.370 0.925 0.001
0.630 0.075 0.501
0.925 0.630 0.251
0.075 0.370 0.751
0.377 0.723 0.909
0.623 0.277 0.409
0.723 0.623 0.159
0.277 0.377 0.659
0.345 0.944 0.271
0.655 0.056 0.771
0.944 0.655 0.521
0.056 0.345 0.021
0.306 0.675 0.770
0.694 0.325 0.270
0.675 0.694 0.020
0.325 0.306 0.520
0.052 0.523 0.843
0.948 0.477 0.343
0.523 0.948 0.093
0.477 0.052 0.593
0.999 0.997 0.567
0.001 0.003 0.067
0.997 0.001 0.817
0.003 0.999 0.317
0.334 0.619 0.072
0.666 0.381 0.572
0.619 0.666 0.322
0.381 0.334 0.822
0.056 0.721 0.968
0.944 0.279 0.468
0.721 0.944 0.218
0.279 0.056 0.718
0.052 0.830 0.167
0.948 0.170 0.667
0.830 0.948 0.417
0.170 0.052 0.917

---

LiGa2Ni, optimized geometry, DFT meta-GGA r2SCAN; space group = Fm-3m; volume = 12.42 Å³ per atom; total DFT energy (no corrections) = -38.830 eV per cell; density = 6.85 Mg/m³; energy of formation = -394.0 meV/atom
1.0
1.068 -2.123 3.374
-1.683 0.941 3.648
-2.700 -2.581 1.754
Li Ga Ni
1 2 1
direct
0.250 0.250 0.250
0.000 0.000 0.000
0.500 0.500 0.500
0.750 0.750 0.750